Arrangement one

The following is a DFT calculation (meta-GGA r2SCAN) of crystalline Ba at its relaxed geometry.

a = 7.6735 Å, b = 6.9896 Å, c = 6.9896 Å
α = 72.46°, β = 56.71°, γ = 56.71°
Fractional coordinates of all 4 atoms:
Ba (0.1819, 0.5000, 0.1363)
Ba (0.8181, 0.5000, 0.8637)
Ba (0.6819, 0.1363, 0.5000)
Ba (0.3181, 0.8637, 0.5000)

Mass density ... 3.5 g/cm³

Arrangement two

The following is a DFT calculation (meta-GGA r2SCAN) of crystalline Ba at its relaxed geometry.

a = 4.5717 Å, b = 4.5717 Å, c = 4.5717 Å
α = 60.00°, β = 60.00°, γ = 60.00°
Fractional coordinates of all 1 atoms:
Ba (0.0000, 0.0000, 0.0000)

Mass density ... 3.4 g/cm³

Result of the stability comparison: arrangement one is the least stable of them.

Arrangement one

The following is a DFT calculation (meta-GGA r2SCAN) of crystalline Ba at its relaxed geometry.

a = 4.6262 Å, b = 4.6303 Å, c = 7.2947 Å
α = 90.00°, β = 90.00°, γ = 119.97°
Fractional coordinates of all 2 atoms:
Ba (0.8329, 0.1658, 0.7500)
Ba (0.1671, 0.8342, 0.2500)

Mass density ... 3.4 g/cm³

Arrangement two

The following is a DFT calculation (meta-GGA r2SCAN) of crystalline Ba at its relaxed geometry.

a = 4.3858 Å, b = 4.3858 Å, c = 7.1900 Å
α = 90.00°, β = 90.00°, γ = 109.96°
Fractional coordinates of all 2 atoms:
Ba (0.2532, 0.2532, 0.2500)
Ba (0.7468, 0.7468, 0.7500)

Mass density ... 3.5 g/cm³

Result of the stability comparison: arrangement two is the least stable of them.

Arrangement one

The following is a DFT calculation (meta-GGA r2SCAN) of crystalline CaTi4S8 at its relaxed geometry.

a = 7.8091 Å, b = 7.8091 Å, c = 7.8091 Å
α = 52.23°, β = 52.23°, γ = 52.23°
Fractional coordinates of all 13 atoms:
Ca (0.5000, 0.5000, 0.5000)
Ti (0.0000, 0.5000, 0.5000)
Ti (0.5000, 0.0000, 0.5000)
Ti (0.5000, 0.5000, 0.0000)
Ti (0.0000, 0.0000, 0.0000)
S (0.2584, 0.7642, 0.7642)
S (0.2358, 0.2358, 0.7416)
S (0.7416, 0.2358, 0.2358)
S (0.2358, 0.7416, 0.2358)
S (0.2638, 0.2638, 0.2638)
S (0.7362, 0.7362, 0.7362)
S (0.7642, 0.2584, 0.7642)
S (0.7642, 0.7642, 0.2584)

Mass density ... 2.9 g/cm³

Arrangement two

The following is a DFT calculation (meta-GGA r2SCAN) of crystalline CaTi4S8 at its relaxed geometry.

a = 6.8651 Å, b = 6.8651 Å, c = 9.0327 Å
α = 55.72°, β = 55.72°, γ = 60.04°
Fractional coordinates of all 13 atoms:
Ca (0.5000, 0.5000, 0.5000)
Ti (0.7574, 0.2426, 0.0000)
Ti (0.2426, 0.7574, 0.0000)
Ti (0.2435, 0.2435, 0.0077)
Ti (0.7565, 0.7565, 0.9923)
S (0.9794, 0.4805, 0.2098)
S (0.4805, 0.9794, 0.2098)
S (0.4829, 0.4829, 0.2032)
S (0.9783, 0.9783, 0.2108)
S (0.0217, 0.0217, 0.7892)
S (0.5171, 0.5171, 0.7968)
S (0.5195, 0.0206, 0.7902)
S (0.0206, 0.5195, 0.7902)

Mass density ... 2.9 g/cm³

Result of the stability comparison: arrangement two is the least stable of them.

Arrangement one

The following is a DFT calculation (meta-GGA r2SCAN) of crystalline KAl11O17 at its relaxed geometry.

a = 5.5910 Å, b = 5.5910 Å, c = 22.7223 Å
α = 90.00°, β = 90.00°, γ = 120.00°
Fractional coordinates of all 58 atoms:
K (0.3318, 0.6682, 0.7500)
K (0.6682, 0.3318, 0.2500)
Al (0.1673, 0.8327, 0.8942)
Al (0.1673, 0.8327, 0.6058)
Al (0.3335, 0.6665, 0.1752)
Al (0.3334, 0.6666, 0.0249)
Al (0.0000, 0.0000, 0.0000)
Al (0.3335, 0.6664, 0.3248)
Al (0.0000, 0.0000, 0.5000)
Al (0.3334, 0.6666, 0.4751)
Al (0.1673, 0.3349, 0.6058)
Al (0.1673, 0.3349, 0.8942)
Al (0.6651, 0.8327, 0.8942)
Al (0.6651, 0.8327, 0.6058)
Al (0.3349, 0.1673, 0.3942)
Al (0.3349, 0.1673, 0.1058)
Al (0.8327, 0.6651, 0.3942)
Al (0.6665, 0.3335, 0.6752)
Al (0.6665, 0.3335, 0.8248)
Al (0.6666, 0.3334, 0.5249)
Al (0.6666, 0.3334, 0.9751)
Al (0.8328, 0.6651, 0.1058)
Al (0.8327, 0.1673, 0.1058)
Al (0.8327, 0.1673, 0.3942)
O (0.1569, 0.8431, 0.0494)
O (0.1569, 0.8431, 0.4506)
O (0.0041, 0.5022, 0.6444)
O (0.0041, 0.5022, 0.8556)
O (0.3336, 0.6664, 0.2500)
O (0.1569, 0.3137, 0.4506)
O (0.0001, 0.9999, 0.1405)
O (0.0001, 0.9999, 0.3595)
O (0.3332, 0.6668, 0.5549)
O (0.9999, 0.0001, 0.8595)
O (0.9999, 0.0001, 0.6405)
O (0.3332, 0.6668, 0.9451)
O (0.1569, 0.3137, 0.0494)
O (0.4978, 0.9959, 0.8556)
O (0.4978, 0.9959, 0.6444)
O (0.3137, 0.1569, 0.5494)
O (0.3137, 0.1569, 0.9506)
O (0.4977, 0.5023, 0.6444)
O (0.4977, 0.5023, 0.8556)
O (0.5023, 0.4977, 0.3556)
O (0.5023, 0.4977, 0.1444)
O (0.6863, 0.8431, 0.0494)
O (0.6863, 0.8431, 0.4506)
O (0.5022, 0.0041, 0.3556)
O (0.6668, 0.3332, 0.4451)
O (0.5022, 0.0041, 0.1444)
O (0.8431, 0.6863, 0.9506)
O (0.8431, 0.6863, 0.5494)
O (0.6668, 0.3332, 0.0549)
O (0.6664, 0.3336, 0.7500)
O (0.9959, 0.4978, 0.1444)
O (0.9959, 0.4978, 0.3556)
O (0.8431, 0.1569, 0.9506)
O (0.8431, 0.1569, 0.5494)

Mass density ... 3.3 g/cm³

Arrangement two

The following is a DFT calculation (meta-GGA r2SCAN) of crystalline KAl11O17 at its relaxed geometry.

a = 11.8367 Å, b = 11.8367 Å, c = 11.8367 Å
α = 27.32°, β = 27.32°, γ = 27.32°
Fractional coordinates of all 29 atoms:
K (0.1705, 0.1705, 0.1705)
Al (0.9020, 0.4074, 0.9020)
Al (0.0001, 0.0001, 0.0001)
Al (0.9020, 0.9020, 0.4074)
Al (0.4074, 0.9020, 0.9020)
Al (0.5499, 0.5499, 0.5499)
Al (0.6501, 0.6501, 0.6501)
Al (0.4499, 0.4499, 0.4499)
Al (0.3503, 0.3503, 0.3503)
Al (0.5953, 0.0971, 0.0971)
Al (0.0971, 0.0971, 0.5953)
Al (0.0971, 0.5953, 0.0971)
O (0.7031, 0.7031, 0.7031)
O (0.9065, 0.9065, 0.9065)
O (0.7199, 0.1893, 0.1893)
O (0.8102, 0.2807, 0.8102)
O (0.9081, 0.4019, 0.4019)
O (0.5967, 0.0938, 0.5967)
O (0.4019, 0.4019, 0.9081)
O (0.8102, 0.8102, 0.2807)
O (0.1893, 0.1893, 0.7199)
O (0.5000, 0.5000, 0.5000)
O (0.5967, 0.5967, 0.0938)
O (0.0938, 0.5967, 0.5967)
O (0.4019, 0.9081, 0.4019)
O (0.1893, 0.7199, 0.1893)
O (0.2807, 0.8102, 0.8102)
O (0.2969, 0.2969, 0.2969)
O (0.0935, 0.0935, 0.0935)

Mass density ... 3.3 g/cm³

Result of the stability comparison: arrangement two is the least stable of them.

Arrangement one

The following is a DFT calculation (meta-GGA r2SCAN) of crystalline Te at its relaxed geometry.

a = 4.6014 Å, b = 4.6014 Å, c = 5.9001 Å
α = 89.96°, β = 90.04°, γ = 119.99°
Fractional coordinates of all 3 atoms:
Te (0.2567, 0.0000, 0.3337)
Te (0.0000, 0.2567, 0.6663)
Te (0.7433, 0.7433, 0.0000)

Mass density ... 5.9 g/cm³

Arrangement two

The following is a DFT calculation (meta-GGA r2SCAN) of crystalline Te at its relaxed geometry.

a = 3.1565 Å, b = 4.4775 Å, c = 9.1654 Å
α = 90.00°, β = 90.00°, γ = 90.00°
Fractional coordinates of all 4 atoms:
Te (0.5000, 0.5048, 0.7599)
Te (0.5000, 0.4952, 0.2599)
Te (0.5000, 0.0027, 0.0101)
Te (0.5000, 0.9973, 0.5101)

Mass density ... 6.5 g/cm³

Arrangement three

The following is a DFT calculation (meta-GGA r2SCAN) of crystalline Te at its relaxed geometry.

a = 3.0703 Å, b = 5.1116 Å, c = 5.1116 Å
α = 70.71°, β = 72.52°, γ = 72.52°
Fractional coordinates of all 2 atoms:
Te (0.5009, 0.2500, 0.2500)
Te (0.4991, 0.7500, 0.7500)

Mass density ... 6.0 g/cm³

Result of the stability comparison: arrangement three is the least stable of them.

Arrangement one

The following is a DFT calculation (meta-GGA r2SCAN) of crystalline Hg at its relaxed geometry.

a = 3.9966 Å, b = 3.2991 Å, c = 3.3055 Å
α = 111.44°, β = 127.20°, γ = 52.80°
Fractional coordinates of all 1 atoms:
Hg (0.0000, 0.0000, 0.0000)

Mass density ... 12.0 g/cm³

Arrangement two

The following is a DFT calculation (meta-GGA r2SCAN) of crystalline Hg at its relaxed geometry.

a = 4.4317 Å, b = 4.4317 Å, c = 4.4317 Å
α = 97.23°, β = 97.23°, γ = 138.43°
Fractional coordinates of all 2 atoms:
Hg (0.0000, 0.0000, 0.0000)
Hg (0.2500, 0.7500, 0.5000)

Mass density ... 12.3 g/cm³

Arrangement three

The following is a DFT calculation (meta-GGA r2SCAN) of crystalline Hg at its relaxed geometry.

a = 3.3835 Å, b = 3.3943 Å, c = 8.8449 Å
α = 78.51°, β = 79.04°, γ = 60.14°
Fractional coordinates of all 1 atoms:
Hg (0.0001, 0.9845, 0.0003)

Mass density ... 3.9 g/cm³

Result of the stability comparison: arrangement three is the least stable of them.

Arrangement one

The following is a DFT calculation (meta-GGA r2SCAN) of crystalline SiP2 at its relaxed geometry.

a = 3.4407 Å, b = 10.1946 Å, c = 14.9840 Å
α = 90.00°, β = 90.00°, γ = 90.00°
Fractional coordinates of all 24 atoms:
Si (0.0000, 0.5888, 0.8400)
Si (0.0000, 0.4112, 0.1600)
Si (0.0000, 0.0888, 0.6600)
Si (0.0000, 0.9112, 0.3400)
Si (0.5000, 0.8055, 0.7322)
Si (0.5000, 0.1945, 0.2678)
Si (0.5000, 0.3055, 0.7678)
Si (0.5000, 0.6945, 0.2322)
P (0.0000, 0.6716, 0.7006)
P (0.0000, 0.3284, 0.2994)
P (0.0000, 0.1716, 0.7994)
P (0.0000, 0.8284, 0.2006)
P (0.0000, 0.7595, 0.9373)
P (0.0000, 0.2405, 0.0627)
P (0.0000, 0.2595, 0.5627)
P (0.0000, 0.7405, 0.4373)
P (0.5000, 0.8745, 0.8802)
P (0.5000, 0.1255, 0.1198)
P (0.5000, 0.3745, 0.6198)
P (0.5000, 0.6255, 0.3802)
P (0.5000, 0.9592, 0.6235)
P (0.5000, 0.0408, 0.3765)
P (0.5000, 0.4592, 0.8765)
P (0.5000, 0.5408, 0.1235)

Mass density ... 2.3 g/cm³

Arrangement two

The following is a DFT calculation (meta-GGA r2SCAN) of crystalline SiP2 at its relaxed geometry.

a = 5.7207 Å, b = 5.7207 Å, c = 5.7207 Å
α = 90.00°, β = 90.00°, γ = 90.00°
Fractional coordinates of all 12 atoms:
Si (0.0000, 0.5000, 0.5000)
Si (0.5000, 0.5000, 0.0000)
Si (0.5000, 0.0000, 0.5000)
Si (0.0000, 0.0000, 0.0000)
P (0.6083, 0.6083, 0.6083)
P (0.8917, 0.3917, 0.1083)
P (0.1083, 0.8917, 0.3917)
P (0.3917, 0.1083, 0.8917)
P (0.6083, 0.8917, 0.1083)
P (0.8917, 0.1083, 0.6083)
P (0.1083, 0.6083, 0.8917)
P (0.3917, 0.3917, 0.3917)

Mass density ... 3.2 g/cm³

Result of the stability comparison: arrangement two is the least stable of them.

Arrangement one

The following is a DFT calculation (meta-GGA r2SCAN) of crystalline Dy at its relaxed geometry.

a = 3.6406 Å, b = 3.6406 Å, c = 5.5764 Å
α = 90.00°, β = 90.00°, γ = 120.00°
Fractional coordinates of all 2 atoms:
Dy (0.3333, 0.6667, 0.2500)
Dy (0.6667, 0.3333, 0.7500)

Mass density ... 8.4 g/cm³

Arrangement two

The following is a DFT calculation (meta-GGA r2SCAN) of crystalline Dy at its relaxed geometry.

a = 3.4648 Å, b = 3.4648 Å, c = 3.4648 Å
α = 109.47°, β = 109.47°, γ = 109.47°
Fractional coordinates of all 1 atoms:
Dy (0.0000, 0.0000, 0.0000)

Mass density ... 8.4 g/cm³

Result of the stability comparison: arrangement two is the least stable of them.

Arrangement one

The following is a DFT calculation (meta-GGA r2SCAN) of crystalline CsTe2O6 at its relaxed geometry.

a = 7.3735 Å, b = 7.3735 Å, c = 7.3735 Å
α = 60.00°, β = 60.00°, γ = 60.00°
Fractional coordinates of all 18 atoms:
Cs (0.5000, 0.5000, 0.5000)
Cs (0.7500, 0.7500, 0.7500)
Te (0.6250, 0.1250, 0.1250)
Te (0.1250, 0.6250, 0.1250)
Te (0.1250, 0.1250, 0.6250)
Te (0.1250, 0.1250, 0.1250)
O (0.8083, 0.1917, 0.1917)
O (0.1917, 0.8083, 0.8083)
O (0.1917, 0.1917, 0.8083)
O (0.8083, 0.8083, 0.1917)
O (0.1917, 0.8083, 0.1917)
O (0.8083, 0.1917, 0.8083)
O (0.4417, 0.0583, 0.0583)
O (0.0583, 0.4417, 0.4417)
O (0.0583, 0.0583, 0.4417)
O (0.4417, 0.4417, 0.0583)
O (0.0583, 0.4417, 0.0583)
O (0.4417, 0.0583, 0.4417)

Mass density ... 5.7 g/cm³

Arrangement two

The following is a DFT calculation (meta-GGA r2SCAN) of crystalline CsTe2O6 at its relaxed geometry.

a = 7.4277 Å, b = 7.4277 Å, c = 7.4277 Å
α = 58.88°, β = 58.88°, γ = 58.88°
Fractional coordinates of all 18 atoms:
Cs (0.8772, 0.8772, 0.8772)
Cs (0.1228, 0.1228, 0.1228)
Te (0.5000, 0.0000, 0.5000)
Te (0.5000, 0.5000, 0.0000)
Te (0.5000, 0.5000, 0.5000)
Te (0.0000, 0.5000, 0.5000)
O (0.5746, 0.1848, 0.1848)
O (0.8373, 0.4292, 0.4292)
O (0.8152, 0.4254, 0.8152)
O (0.1848, 0.5746, 0.1848)
O (0.4292, 0.4292, 0.8373)
O (0.4254, 0.8152, 0.8152)
O (0.4292, 0.8373, 0.4292)
O (0.5708, 0.1627, 0.5708)
O (0.8152, 0.8152, 0.4254)
O (0.5708, 0.5708, 0.1627)
O (0.1627, 0.5708, 0.5708)
O (0.1848, 0.1848, 0.5746)

Mass density ... 5.7 g/cm³

Result of the stability comparison: arrangement one is the least stable of them.